Entry 1:
Material: Zr6NCl15
Method: DFT, GGA-PBE
State: relaxed

Values from the calculation:
Formation energy ... -2.235 eV/atom
Raw total energy ... -1018.55 eV/cell

Unit cell a=18.7165 b=18.7165 c=18.7165 alpha=109.47 beta=109.47 gamma=109.47
Closest atoms and distances in Å follow each position.
Element x y z (fractional)
Zr1 0.0190 0.0454 0.4047  1 N 2.29, 4 Cl 2.53-2.54
Zr2 0.0190 0.4737 0.6143  1 N 2.29, 4 Cl 2.53-2.54
Zr3 0.0263 0.0454 0.1407  1 N 2.29, 4 Cl 2.53-2.54
Zr4 0.0263 0.4810 0.8857  1 N 2.29, 4 Cl 2.53-2.54
Zr5 0.0454 0.1407 0.0263  1 N 2.29, 4 Cl 2.53-2.54
Zr6 0.0454 0.4047 0.0190  1 N 2.29, 4 Cl 2.53-2.54
Zr7 0.0953 0.1407 0.6143  1 N 2.29, 4 Cl 2.53-2.54
Zr8 0.0953 0.4546 0.4810  1 N 2.29, 4 Cl 2.53-2.54
Zr9 0.1143 0.6407 0.5953  1 N 2.29, 4 Cl 2.53-2.54
Zr10 0.1143 0.9737 0.5190  1 N 2.29, 4 Cl 2.53-2.54
Zr11 0.1407 0.0263 0.0454  1 N 2.29, 4 Cl 2.53-2.54
Zr12 0.1407 0.6143 0.0953  1 N 2.29, 4 Cl 2.53-2.54
Zr13 0.3593 0.4047 0.8857  1 N 2.29, 4 Cl 2.53-2.54
Zr14 0.3593 0.4546 0.4737  1 N 2.29, 4 Cl 2.53-2.54
Zr15 0.3857 0.9047 0.8593  1 N 2.29, 4 Cl 2.53-2.54
Zr16 0.3857 0.9810 0.5263  1 N 2.29, 4 Cl 2.53-2.54
Zr17 0.4047 0.0190 0.0454  1 N 2.29, 4 Cl 2.53-2.54
Zr18 0.4047 0.8857 0.3593  1 N 2.29, 4 Cl 2.53-2.54
Zr19 0.4546 0.4737 0.3593  1 N 2.29, 4 Cl 2.53-2.54
Zr20 0.4546 0.4810 0.0953  1 N 2.29, 4 Cl 2.53-2.54
Zr21 0.4737 0.3593 0.4546  1 N 2.29, 4 Cl 2.53-2.54
Zr22 0.4737 0.6143 0.0190  1 N 2.29, 4 Cl 2.53-2.54
Zr23 0.4810 0.0953 0.4546  1 N 2.29, 4 Cl 2.53-2.54
Zr24 0.4810 0.8857 0.0263  1 N 2.29, 4 Cl 2.53-2.54
Zr25 0.5190 0.1143 0.9737  1 N 2.29, 4 Cl 2.53-2.54
Zr26 0.5190 0.9047 0.5454  1 N 2.29, 4 Cl 2.53-2.54
Zr27 0.5263 0.3857 0.9810  1 N 2.29, 4 Cl 2.53-2.54
Zr28 0.5263 0.6407 0.5454  1 N 2.29, 4 Cl 2.53-2.54
Zr29 0.5454 0.5190 0.9047  1 N 2.29, 4 Cl 2.53-2.54
Zr30 0.5454 0.5263 0.6407  1 N 2.29, 4 Cl 2.53-2.54
Zr31 0.5953 0.1143 0.6407  1 N 2.29, 4 Cl 2.53-2.54
Zr32 0.5953 0.9810 0.9546  1 N 2.29, 4 Cl 2.53-2.54
Zr33 0.6143 0.0190 0.4737  1 N 2.29, 4 Cl 2.53-2.54
Zr34 0.6143 0.0953 0.1407  1 N 2.29, 4 Cl 2.53-2.54
Zr35 0.6407 0.5454 0.5263  1 N 2.29, 4 Cl 2.53-2.54
Zr36 0.6407 0.5953 0.1143  1 N 2.29, 4 Cl 2.53-2.54
Zr37 0.8593 0.3857 0.9047  1 N 2.29, 4 Cl 2.53-2.54
Zr38 0.8593 0.9737 0.9546  1 N 2.29, 4 Cl 2.53-2.54
Zr39 0.8857 0.0263 0.4810  1 N 2.29, 4 Cl 2.53-2.54
Zr40 0.8857 0.3593 0.4047  1 N 2.29, 4 Cl 2.53-2.54
Zr41 0.9047 0.5454 0.5190  1 N 2.29, 4 Cl 2.53-2.54
Zr42 0.9047 0.8593 0.3857  1 N 2.29, 4 Cl 2.53-2.54
Zr43 0.9546 0.5953 0.9810  1 N 2.29, 4 Cl 2.53-2.54
Zr44 0.9546 0.8593 0.9737  1 N 2.29, 4 Cl 2.53-2.54
Zr45 0.9737 0.5190 0.1143  1 N 2.29, 4 Cl 2.53-2.54
Zr46 0.9737 0.9546 0.8593  1 N 2.29, 4 Cl 2.53-2.54
Zr47 0.9810 0.5263 0.3857  1 N 2.29, 4 Cl 2.53-2.54
Zr48 0.9810 0.9546 0.5953  1 N 2.29, 4 Cl 2.53-2.54
N1 0.0000 0.0000 0.0000  6 Zr 2.29
N2 0.0000 0.0000 0.5000  6 Zr 2.29
N3 0.0000 0.5000 0.0000  6 Zr 2.29
N4 0.0000 0.5000 0.5000  6 Zr 2.29
N5 0.5000 0.0000 0.0000  6 Zr 2.29
N6 0.5000 0.0000 0.5000  6 Zr 2.29
N7 0.5000 0.5000 0.0000  6 Zr 2.29
N8 0.5000 0.5000 0.5000  6 Zr 2.29
Cl1 0.0148 0.1036 0.8725  2 Zr 2.53
Cl2 0.0148 0.4112 0.1423  2 Zr 2.53
Cl3 0.0212 0.7051 0.6264  2 Zr 2.54
Cl4 0.0212 0.8162 0.3949  2 Zr 2.54
Cl5 0.0521 0.1042 0.3021  2 Zr 2.65
Cl6 0.0521 0.4479 0.7500  2 Zr 2.65
Cl7 0.0787 0.2051 0.1838  2 Zr 2.54
Cl8 0.0787 0.3736 0.8949  2 Zr 2.54
Cl9 0.0888 0.1036 0.7311  2 Zr 2.53
Cl10 0.0888 0.4852 0.3577  2 Zr 2.53
Cl11 0.1042 0.3021 0.0521  2 Zr 2.65
Cl12 0.1036 0.7311 0.0888  2 Zr 2.53
Cl13 0.1036 0.8725 0.0148  2 Zr 2.53
Cl14 0.1051 0.6838 0.4788  2 Zr 2.54
Cl15 0.1051 0.9213 0.6264  2 Zr 2.54
Cl16 0.1264 0.2051 0.5212  2 Zr 2.54
Cl17 0.1264 0.4213 0.6051  2 Zr 2.54
Cl18 0.1275 0.6423 0.2311  2 Zr 2.53
Cl19 0.1275 0.9852 0.8964  2 Zr 2.53
Cl20 0.1423 0.0148 0.4112  2 Zr 2.53
Cl21 0.1423 0.6275 0.7311  2 Zr 2.53
Cl22 0.1838 0.0787 0.2051  2 Zr 2.54
Cl23 0.1838 0.6051 0.9788  2 Zr 2.54
Cl24 0.1979 0.3021 0.7500  2 Zr 2.65
Cl25 0.1979 0.3958 0.4479  2 Zr 2.65
Cl26 0.2051 0.1838 0.0787  2 Zr 2.54
Cl27 0.2051 0.5212 0.1264  2 Zr 2.54
Cl28 0.2311 0.1275 0.6423  2 Zr 2.53
Cl29 0.2311 0.6036 0.5888  2 Zr 2.53
Cl30 0.2500 0.8021 0.6979  2 Zr 2.65
Cl31 0.2500 0.9479 0.5521  2 Zr 2.65
Cl32 0.2689 0.8577 0.3725  2 Zr 2.53
Cl33 0.2689 0.9112 0.8964  2 Zr 2.53
Cl34 0.2949 0.3736 0.9788  2 Zr 2.54
Cl35 0.2949 0.4213 0.3162  2 Zr 2.54
Cl36 0.3021 0.0521 0.1042  2 Zr 2.65
Cl37 0.3021 0.7500 0.1979  2 Zr 2.65
Cl38 0.3162 0.2949 0.4213  2 Zr 2.54
Cl39 0.3162 0.5212 0.8949  2 Zr 2.54
Cl40 0.3577 0.0888 0.4852  2 Zr 2.53
Cl41 0.3577 0.7689 0.8725  2 Zr 2.53
Cl42 0.3725 0.2689 0.8577  2 Zr 2.53
Cl43 0.3725 0.6036 0.5148  2 Zr 2.53
Cl44 0.3736 0.8949 0.0787  2 Zr 2.54
Cl45 0.3736 0.9788 0.2949  2 Zr 2.54
Cl46 0.3949 0.0212 0.8162  2 Zr 2.54
Cl47 0.3949 0.8736 0.5787  2 Zr 2.54
Cl48 0.3964 0.4112 0.7689  2 Zr 2.53
Cl49 0.3958 0.4479 0.1979  2 Zr 2.65
Cl50 0.3964 0.4852 0.6275  2 Zr 2.53
Cl51 0.4112 0.1423 0.0148  2 Zr 2.53
Cl52 0.4112 0.7689 0.3964  2 Zr 2.53
Cl53 0.4213 0.3162 0.2949  2 Zr 2.54
Cl54 0.4213 0.6051 0.1264  2 Zr 2.54
Cl55 0.4479 0.1979 0.3958  2 Zr 2.65
Cl56 0.4479 0.7500 0.0521  2 Zr 2.65
Cl57 0.4788 0.1051 0.6838  2 Zr 2.54
Cl58 0.4788 0.8736 0.7949  2 Zr 2.54
Cl59 0.4852 0.3577 0.0888  2 Zr 2.53
Cl60 0.4852 0.6275 0.3964  2 Zr 2.53
Cl61 0.5148 0.3725 0.6036  2 Zr 2.53
Cl62 0.5148 0.6423 0.9112  2 Zr 2.53
Cl63 0.5212 0.1264 0.2051  2 Zr 2.54
Cl64 0.5212 0.8949 0.3162  2 Zr 2.54
Cl65 0.5521 0.2500 0.9479  2 Zr 2.65
Cl66 0.5521 0.8021 0.6042  2 Zr 2.65
Cl67 0.5787 0.3949 0.8736  2 Zr 2.54
Cl68 0.5787 0.6838 0.7051  2 Zr 2.54
Cl69 0.5888 0.2311 0.6036  2 Zr 2.53
Cl70 0.5888 0.8577 0.9852  2 Zr 2.53
Cl71 0.6036 0.5148 0.3725  2 Zr 2.53
Cl72 0.6042 0.5521 0.8021  2 Zr 2.65
Cl73 0.6036 0.5888 0.2311  2 Zr 2.53
Cl74 0.6051 0.1264 0.4213  2 Zr 2.54
Cl75 0.6051 0.9788 0.1838  2 Zr 2.54
Cl76 0.6264 0.0212 0.7051  2 Zr 2.54
Cl77 0.6264 0.1051 0.9213  2 Zr 2.54
Cl78 0.6275 0.3964 0.4852  2 Zr 2.53
Cl79 0.6275 0.7311 0.1423  2 Zr 2.53
Cl80 0.6423 0.2311 0.1275  2 Zr 2.53
Cl81 0.6423 0.9112 0.5148  2 Zr 2.53
Cl82 0.6838 0.4788 0.1051  2 Zr 2.54
Cl83 0.6838 0.7051 0.5787  2 Zr 2.54
Cl84 0.6979 0.2500 0.8021  2 Zr 2.65
Cl85 0.6979 0.9479 0.8958  2 Zr 2.65
Cl86 0.7051 0.5787 0.6838  2 Zr 2.54
Cl87 0.7051 0.6264 0.0212  2 Zr 2.54
Cl88 0.7311 0.0888 0.1036  2 Zr 2.53
Cl89 0.7311 0.1423 0.6275  2 Zr 2.53
Cl90 0.7500 0.0521 0.4479  2 Zr 2.65
Cl91 0.7500 0.1979 0.3021  2 Zr 2.65
Cl92 0.7689 0.3964 0.4112  2 Zr 2.53
Cl93 0.7689 0.8725 0.3577  2 Zr 2.53
Cl94 0.7949 0.4788 0.8736  2 Zr 2.54
Cl95 0.7949 0.8162 0.9213  2 Zr 2.54
Cl96 0.8021 0.6042 0.5521  2 Zr 2.65
Cl97 0.8021 0.6979 0.2500  2 Zr 2.65
Cl98 0.8162 0.3949 0.0212  2 Zr 2.54
Cl99 0.8162 0.9213 0.7949  2 Zr 2.54
Cl100 0.8577 0.3725 0.2689  2 Zr 2.53
Cl101 0.8577 0.9852 0.5888  2 Zr 2.53
Cl102 0.8725 0.0148 0.1036  2 Zr 2.53
Cl103 0.8725 0.3577 0.7689  2 Zr 2.53
Cl104 0.8736 0.5787 0.3949  2 Zr 2.54
Cl105 0.8736 0.7949 0.4788  2 Zr 2.54
Cl106 0.8949 0.0787 0.3736  2 Zr 2.54
Cl107 0.8949 0.3162 0.5212  2 Zr 2.54
Cl108 0.8964 0.1275 0.9852  2 Zr 2.53
Cl109 0.8964 0.2689 0.9112  2 Zr 2.53
Cl110 0.8958 0.6979 0.9479  2 Zr 2.65
Cl111 0.9112 0.5148 0.6423  2 Zr 2.53
Cl112 0.9112 0.8964 0.2689  2 Zr 2.53
Cl113 0.9213 0.6264 0.1051  2 Zr 2.54
Cl114 0.9213 0.7949 0.8162  2 Zr 2.54
Cl115 0.9479 0.5521 0.2500  2 Zr 2.65
Cl116 0.9479 0.8958 0.6979  2 Zr 2.65
Cl117 0.9788 0.1838 0.6051  2 Zr 2.54
Cl118 0.9788 0.2949 0.3736  2 Zr 2.54
Cl119 0.9852 0.5888 0.8577  2 Zr 2.53
Cl120 0.9852 0.8964 0.1275  2 Zr 2.53

Entry 2:
Material: Li2TiP5O15
Method: DFT, GGA-PBE
State: relaxed

Values from the calculation:
Formation energy ... -2.707 eV/atom
Raw total energy ... -329.93 eV/cell

Unit cell a=5.3331 b=9.6216 c=13.3258 alpha=90.00 beta=109.01 gamma=90.00
Closest atoms and distances in Å follow each position.
Element x y z (fractional)
Li1 0.0000 0.0894 0.0000  3 O 1.88-1.92
Li2 0.0000 0.9106 0.5000  3 O 1.88-1.92
Li3 0.8790 0.1031 0.6342  3 O 1.92-1.95
Li4 0.8790 0.8969 0.1342  3 O 1.92-1.95
Ti1 0.9541 0.4953 0.5769  6 O 1.97-2.14
Ti2 0.9541 0.5047 0.0769  6 O 1.97-2.14
P1 0.3588 0.3155 0.4858  4 O 1.51-1.62
P2 0.3588 0.6845 0.9858  4 O 1.51-1.62
P3 0.4158 0.0200 0.4286  4 O 1.49-1.63
P4 0.4158 0.9800 0.9286  4 O 1.49-1.63
P5 0.4600 0.0227 0.2101  4 O 1.49-1.64
P6 0.4600 0.9773 0.7101  4 O 1.49-1.64
P7 0.5463 0.3233 0.1659  4 O 1.50-1.62
P8 0.5463 0.6767 0.6659  4 O 1.50-1.62
P9 0.9618 0.4872 0.3269  4 O 1.50-1.63
P10 0.9618 0.5128 0.8269  4 O 1.50-1.63
O1 0.1820 0.0061 0.1355  1 P 1.50
O2 0.1820 0.9939 0.6355  1 P 1.50
O3 0.2177 0.3603 0.5627  1 P 1.52
O4 0.2178 0.3853 0.3708  2 P 1.62-1.63
O5 0.2178 0.6147 0.8708  2 P 1.62-1.63
O6 0.2177 0.6397 0.0627  1 P 1.52
O7 0.2197 0.0943 0.9146  1 P 1.49
O8 0.2197 0.9057 0.4146  1 P 1.49
O9 0.2566 0.3577 0.1393  1 P 1.50
O10 0.2566 0.6423 0.6393  1 P 1.50
O11 0.2850 0.1569 0.4646  2 P 1.58-1.63
O12 0.2850 0.8431 0.9646  2 P 1.58-1.63
O13 0.4335 0.0794 0.3192  2 P 1.60
O14 0.4335 0.9206 0.8192  2 P 1.60
O15 0.5950 0.1616 0.1780  2 P 1.58-1.64
O16 0.5950 0.8384 0.6780  2 P 1.58-1.64
O17 0.6537 0.3398 0.5195  1 P 1.51
O18 0.6537 0.6602 0.0195  1 P 1.51
O19 0.6557 0.0913 0.7228  1 P 1.49
O20 0.6557 0.9087 0.2228  1 P 1.49
O21 0.6822 0.3719 0.0882  1 P 1.52
O22 0.6822 0.6281 0.5882  1 P 1.52
O23 0.6935 0.0044 0.5030  1 P 1.50
O24 0.6935 0.9956 0.0030  1 P 1.50
O25 0.7122 0.3812 0.2828  2 P 1.62-1.63
O26 0.7122 0.6188 0.7828  2 P 1.62-1.63
O27 0.9285 0.4384 0.9213  1 P 1.51
O28 0.9285 0.5616 0.4213  1 P 1.51
O29 0.9933 0.4333 0.7345  1 P 1.50
O30 0.9933 0.5667 0.2345  1 P 1.50

Entry 3:
Material: Na3Zr3ScSi3S3O24
Method: DFT, GGA-PBE
State: relaxed

Values from the calculation:
Formation energy ... -2.879 eV/atom
Raw total energy ... -820.25 eV/cell

Unit cell a=9.0617 b=9.0852 c=23.0994 alpha=89.96 beta=89.97 gamma=60.16
Closest atoms and distances in Å follow each position.
Element x y z (fractional)
Na1 0.0000 0.0000 0.0000  5 O 2.39-2.60
Na2 0.0100 0.6285 0.0883  3 O 2.32-2.59
Na3 0.0235 0.6290 0.5921  4 O 2.43-2.72
Na4 0.3513 0.0039 0.7516  5 O 2.43-2.71
Na5 0.3816 0.9718 0.2591  3 O 2.40-2.54
Na6 0.6671 0.6671 0.3386  6 O 2.45-2.73
Na7 0.6861 0.3427 0.4273  3 O 2.35-2.57
Na8 0.7138 0.3067 0.9255  5 O 2.43-2.72
Na9 0.7320 0.9828 0.5179  4 O 2.37-2.56
Zr1 0.0298 0.6584 0.9435  6 O 2.01-2.25
Zr2 0.0297 0.6670 0.2362  4 O 1.97-2.18
Zr3 0.0344 0.6686 0.7310  5 O 1.99-2.21
Zr4 0.0390 0.6631 0.4407  5 O 1.99-2.19
Zr5 0.3666 0.0014 0.9025  4 O 1.96-2.19
Zr6 0.3856 0.9838 0.6108  5 O 1.98-2.20
Zr7 0.3910 0.9859 0.1087  3 O 1.95-2.06
Zr8 0.6950 0.3292 0.2765  6 O 2.02-2.25
Zr9 0.7301 0.2964 0.7734  3 O 1.95-2.03
Sc1 0.3862 0.9692 0.4008  3 O 1.97-2.04
Sc2 0.7139 0.3294 0.0676  3 O 1.95-2.14
Sc3 0.7230 0.3287 0.5721  3 O 1.91-2.08
Si1 0.0074 0.3182 0.6716  4 O 1.62-1.65
Si2 0.0475 0.9449 0.8407  4 O 1.63-1.66
Si3 0.0842 0.2810 0.0080  4 O 1.63-1.66
Si4 0.3298 0.6580 0.3378  4 O 1.63-1.67
Si5 0.6667 0.9944 0.0044  4 O 1.62-1.67
Si6 0.6699 0.6848 0.5021  4 O 1.62-1.67
Si7 0.7079 0.6144 0.1725  4 O 1.62-1.65
Si8 0.7101 0.0318 0.6661  4 O 1.61-1.65
Si9 0.7437 0.9543 0.3405  4 O 1.63-1.66
S1 0.0436 0.3622 0.3381  4 O 1.46-1.51
S2 0.0824 0.9894 0.5042  4 O 1.46-1.53
S3 0.3327 0.3685 0.8382  4 O 1.47-1.52
S4 0.3711 0.2780 0.5039  4 O 1.47-1.50
S5 0.3760 0.6968 0.0045  4 O 1.47-1.50
S6 0.4136 0.3234 0.1706  4 O 1.46-1.51
S7 0.4225 0.6064 0.6728  4 O 1.47-1.51
S8 0.7453 0.6544 0.8375  4 O 1.47-1.51
S9 0.9993 0.0312 0.1703  4 O 1.48-1.51
O1 0.0118 0.4751 0.3894  1 S 1.50
O2 0.0180 0.8568 0.1758  1 S 1.51
O3 0.0304 0.8543 0.9002  1 Si 1.65
O4 0.0377 0.4802 0.6813  1 Si 1.64
O5 0.0598 0.8262 0.7858  1 Si 1.63
O6 0.0657 0.4413 0.2851  1 S 1.48
O7 0.0677 0.8289 0.5024  1 S 1.53
O8 0.0732 0.4649 0.9999  1 Si 1.63
O9 0.1648 0.0046 0.4519  1 S 1.46
O10 0.1712 0.0124 0.1688  1 S 1.48
O11 0.1740 0.1567 0.9510  1 Si 1.66
O12 0.1787 0.9762 0.5569  1 S 1.47
O13 0.1897 0.1423 0.6649  1 Si 1.64
O14 0.1910 0.1939 0.3456  1 S 1.46
O15 0.2005 0.1807 0.0641  1 Si 1.63
O16 0.2167 0.6857 0.9999  1 S 1.50
O17 0.2191 0.9631 0.8420  1 Si 1.64
O18 0.2196 0.4508 0.5005  1 S 1.49
O19 0.2215 0.6656 0.2804  1 Si 1.63
O20 0.2306 0.4466 0.7858  1 S 1.47
O21 0.2414 0.6289 0.3951  1 Si 1.64
O22 0.2430 0.4745 0.1751  1 S 1.47
O23 0.2446 0.4644 0.8908  1 S 1.48
O24 0.2491 0.6258 0.6778  1 S 1.50
O25 0.3492 0.8041 0.0566  1 S 1.49
O26 0.3505 0.1985 0.5581  1 S 1.50
O27 0.3502 0.8263 0.3407  1 Si 1.63
O28 0.3561 0.1914 0.8419  1 S 1.52
O29 0.3837 0.1740 0.4532  1 S 1.47
O30 0.3957 0.1672 0.1698  1 S 1.51
O31 0.3980 0.7778 0.9520  1 S 1.48
O32 0.3997 0.7817 0.6670  1 S 1.51
O33 0.4996 0.3344 0.1188  1 S 1.46
O34 0.5014 0.3563 0.8354  1 S 1.48
O35 0.5008 0.5059 0.6206  1 S 1.47
O36 0.5166 0.3037 0.2239  1 S 1.50
O37 0.5219 0.5310 0.7257  1 S 1.47
O38 0.5241 0.5253 0.0097  1 S 1.47
O39 0.5264 0.4922 0.3344  1 Si 1.67
O40 0.5300 0.2876 0.5069  1 S 1.49
O41 0.5348 0.8036 0.1694  1 Si 1.65
O42 0.5437 0.0033 0.6656  1 Si 1.65
O43 0.5555 0.0044 0.9474  1 Si 1.63
O44 0.5555 0.9737 0.3435  1 Si 1.63
O45 0.5666 0.8188 0.5557  1 Si 1.66
O46 0.5689 0.7735 0.4419  1 Si 1.64
O47 0.5796 0.8113 0.8421  1 S 1.47
O48 0.5818 0.9599 0.0621  1 Si 1.64
O49 0.6858 0.1489 0.7236  1 Si 1.65
O50 0.6866 0.4992 0.5082  1 Si 1.62
O51 0.6915 0.1582 0.0096  1 Si 1.62
O52 0.6936 0.5231 0.2325  1 Si 1.65
O53 0.7209 0.5055 0.8344  1 S 1.48
O54 0.7231 0.4987 0.1169  1 Si 1.62
O55 0.7267 0.1154 0.6068  1 Si 1.61
O56 0.7387 0.1339 0.3311  1 Si 1.63
O57 0.8342 0.6678 0.7856  1 S 1.48
O58 0.8392 0.8200 0.2864  1 Si 1.66
O59 0.8522 0.6305 0.8905  1 S 1.51
O60 0.8567 0.8616 0.3990  1 Si 1.65
O61 0.8590 0.6756 0.5018  1 Si 1.67
O62 0.8602 0.8234 0.0003  1 Si 1.67
O63 0.8736 0.1338 0.8371  1 Si 1.66
O64 0.8802 0.6327 0.1756  1 Si 1.65
O65 0.8797 0.8420 0.6745  1 Si 1.65
O66 0.8835 0.3513 0.3334  1 S 1.51
O67 0.8876 0.3568 0.6152  1 Si 1.62
O68 0.8967 0.2973 0.0107  1 Si 1.63
O69 0.9041 0.1040 0.1161  1 S 1.48
O70 0.9045 0.1349 0.5065  1 S 1.49
O71 0.9074 0.1354 0.2211  1 S 1.48
O72 0.9138 0.2968 0.7297  1 Si 1.65

Entry 4:
Material: YSnRh
Method: DFT, GGA-PBE
State: relaxed

Values from the calculation:
Formation energy ... -0.895 eV/atom
Raw total energy ... -61.57 eV/cell

Unit cell a=7.5414 b=7.5414 c=3.9152 alpha=90.00 beta=90.00 gamma=120.00
Closest atoms and distances in Å follow each position.
Element x y z (fractional)
Y1 0.0000 0.4068 0.0000  5 Rh 3.01-3.07, 6 Sn 3.19-3.33
Y2 0.4068 0.0000 0.0000  5 Rh 3.01-3.07, 6 Sn 3.19-3.33
Y3 0.5932 0.5932 0.0000  5 Rh 3.01-3.07, 6 Sn 3.19-3.33
Sn1 0.0000 0.7405 0.5000  4 Rh 2.77-2.83
Sn2 0.2595 0.2595 0.5000  4 Rh 2.77-2.83
Sn3 0.7405 0.0000 0.5000  4 Rh 2.77-2.83
Rh1 0.0000 0.0000 0.0000  6 Sn 2.77, 3 Y 3.07
Rh2 0.3333 0.6667 0.5000  3 Sn 2.83, 6 Y 3.01
Rh3 0.6667 0.3333 0.5000  3 Sn 2.83, 6 Y 3.01